The following is a PBE+U calculation of a geometry-optimized Li4Ti2Mn3Cr3O16 structure, from the Materials Project database.

Cell lengths 5.870, 5.889, 9.480 Å; angles 90.97, 89.90, 119.37 degrees
Fractional coordinates of all 28 atoms:
1 Li 0.334 0.679 0.102
2 Li 0.999 0.998 0.005
3 Li 0.004 0.993 0.505
4 Li 0.663 0.338 0.605
5 Ti 0.335 0.660 0.506
6 Ti 0.666 0.336 0.004
7 Mn 0.168 0.827 0.784
8 Mn 0.830 0.657 0.284
9 Mn 0.339 0.171 0.286
10 Cr 0.660 0.830 0.786
11 Cr 0.170 0.340 0.786
12 Cr 0.828 0.167 0.285
13 O 0.668 0.830 0.403
14 O 0.476 0.519 0.658
15 O 0.329 0.675 0.893
16 O 0.002 0.994 0.692
17 O 0.002 0.988 0.193
18 O 0.167 0.327 0.407
19 O 0.471 0.960 0.661
20 O 0.037 0.523 0.663
21 O 0.836 0.171 0.908
22 O 0.148 0.801 0.408
23 O 0.962 0.482 0.164
24 O 0.518 0.047 0.158
25 O 0.665 0.343 0.391
26 O 0.842 0.668 0.901
27 O 0.546 0.512 0.151
28 O 0.334 0.164 0.904

DFT total energy (eV/atom): -7.38
Formation energy from the elements (eV/f.u.): -69.725
Total magnetic moment (μB/f.u.): 19.0